Here is crystalline NpMo2O8 at its relaxed geometry from the Materials Project. Energies are from GGA+U.

Properties
The value obtained for the formation energy is -2.377 eV/atom. Its symmetry is Pbca (61). For the total energy, the calculation gives -8.043 eV/atom. The energy with MP2020 corrections is -9.124 eV per atom. As for the total magnetization: 24.45 μB per cell.

Unit cell a=9.6939 b=14.4779 c=10.3100 alpha=90.00 beta=90.00 gamma=90.00
With the nearest neighbours (Å) after each atom.
Positions (direct):
Np  0.2229  0.1104  0.0338  8 O 2.30-2.40
Np  0.2229  0.3896  0.5338  8 O 2.30-2.40
Np  0.2771  0.6104  0.0338  8 O 2.30-2.40
Np  0.2771  0.8896  0.5338  8 O 2.30-2.40
Np  0.7229  0.1104  0.4662  8 O 2.30-2.40
Np  0.7229  0.3896  0.9662  8 O 2.30-2.40
Np  0.7771  0.6104  0.4662  8 O 2.30-2.40
Np  0.7771  0.8896  0.9662  8 O 2.30-2.40
Mo  0.0013  0.5594  0.7758  4 O 1.79-1.82
Mo  0.0013  0.9406  0.2758  4 O 1.79-1.82
Mo  0.1814  0.6518  0.3951  4 O 1.79-1.80
Mo  0.1814  0.8482  0.8951  4 O 1.79-1.80
Mo  0.3186  0.1518  0.3951  4 O 1.79-1.80
Mo  0.3186  0.3482  0.8951  4 O 1.79-1.80
Mo  0.4987  0.0594  0.7758  4 O 1.79-1.82
Mo  0.4987  0.4406  0.2758  4 O 1.79-1.82
Mo  0.5013  0.5594  0.7242  4 O 1.79-1.82
Mo  0.5013  0.9406  0.2242  4 O 1.79-1.82
Mo  0.6814  0.6518  0.1049  4 O 1.79-1.80
Mo  0.6814  0.8482  0.6049  4 O 1.79-1.80
Mo  0.8186  0.1518  0.1049  4 O 1.79-1.80
Mo  0.8186  0.3482  0.6049  4 O 1.79-1.80
Mo  0.9987  0.0594  0.7242  4 O 1.79-1.82
Mo  0.9987  0.4406  0.2242  4 O 1.79-1.82
O  0.0019  0.1559  0.0820  1 Mo 1.79
O  0.0019  0.3441  0.5820  1 Mo 1.79
O  0.0936  0.5268  0.1377  1 Mo 1.79
O  0.0944  0.6313  0.8918  1 Mo 1.82
O  0.0944  0.8687  0.3918  1 Mo 1.82
O  0.0936  0.9732  0.6377  1 Mo 1.79
O  0.1124  0.1247  0.8268  1 Mo 1.80
O  0.1124  0.3753  0.3268  1 Mo 1.80
O  0.1195  0.5027  0.6686  1 Mo 1.79
O  0.1195  0.9973  0.1686  1 Mo 1.79
O  0.2296  0.6775  0.2308  1 Mo 1.80
O  0.2296  0.8225  0.7308  1 Mo 1.80
O  0.2354  0.2320  0.5024  1 Mo 1.80
O  0.2354  0.2680  0.0024  1 Mo 1.80
O  0.2376  0.5368  0.4293  1 Mo 1.79
O  0.2376  0.9632  0.9293  1 Mo 1.79
O  0.2624  0.0368  0.4293  1 Mo 1.79
O  0.2624  0.4632  0.9293  1 Mo 1.79
O  0.2646  0.7320  0.5024  1 Mo 1.80
O  0.2646  0.7680  0.0024  1 Mo 1.80
O  0.2704  0.1775  0.2308  1 Mo 1.80
O  0.2704  0.3225  0.7308  1 Mo 1.80
O  0.3805  0.0027  0.6686  1 Mo 1.79
O  0.3805  0.4973  0.1686  1 Mo 1.79
O  0.3876  0.6247  0.8268  1 Mo 1.80
O  0.3876  0.8753  0.3268  1 Mo 1.80
O  0.4064  0.0268  0.1377  1 Mo 1.79
O  0.4056  0.1313  0.8918  1 Mo 1.82
O  0.4056  0.3687  0.3918  1 Mo 1.82
O  0.4064  0.4732  0.6377  1 Mo 1.79
O  0.4981  0.6559  0.0820  1 Mo 1.79
O  0.4981  0.8441  0.5820  1 Mo 1.79
O  0.5019  0.1559  0.4180  1 Mo 1.79
O  0.5019  0.3441  0.9180  1 Mo 1.79
O  0.5936  0.5268  0.3623  1 Mo 1.79
O  0.5944  0.6313  0.6082  1 Mo 1.82
O  0.5944  0.8687  0.1082  1 Mo 1.82
O  0.5936  0.9732  0.8623  1 Mo 1.79
O  0.6124  0.1247  0.6732  1 Mo 1.80
O  0.6124  0.3753  0.1732  1 Mo 1.80
O  0.6195  0.5027  0.8314  1 Mo 1.79
O  0.6195  0.9973  0.3314  1 Mo 1.79
O  0.7296  0.6775  0.2692  1 Mo 1.80
O  0.7296  0.8225  0.7692  1 Mo 1.80
O  0.7354  0.2320  0.9976  1 Mo 1.80
O  0.7354  0.2680  0.4976  1 Mo 1.80
O  0.7376  0.5368  0.0707  1 Mo 1.79
O  0.7376  0.9632  0.5707  1 Mo 1.79
O  0.7624  0.0368  0.0707  1 Mo 1.79
O  0.7624  0.4632  0.5707  1 Mo 1.79
O  0.7646  0.7320  0.9976  1 Mo 1.80
O  0.7646  0.7680  0.4976  1 Mo 1.80
O  0.7704  0.1775  0.2692  1 Mo 1.80
O  0.7704  0.3225  0.7692  1 Mo 1.80
O  0.8805  0.0027  0.8314  1 Mo 1.79
O  0.8805  0.4973  0.3314  1 Mo 1.79
O  0.8876  0.6247  0.6732  1 Mo 1.80
O  0.8876  0.8753  0.1732  1 Mo 1.80
O  0.9064  0.0268  0.3623  1 Mo 1.79
O  0.9056  0.1313  0.6082  1 Mo 1.82
O  0.9056  0.3687  0.1082  1 Mo 1.82
O  0.9064  0.4732  0.8623  1 Mo 1.79
O  0.9981  0.6559  0.4180  1 Mo 1.79
O  0.9981  0.8441  0.9180  1 Mo 1.79